This record from Materials Project describes a relaxed VH24C4N4Cl7 crystal. The functional is PBE.

## Properties
- calculated formation energy (eV/f.u.) = -23.6

Cell: 16.1532 7.3896 20.0485 Å, 90.00 128.02 90.00°
Sites, in units of the cell vectors:
V: 0.0000 0.0000 0.0000
V: 0.0000 0.0000 0.5000
V: 0.5000 0.0000 0.0000
V: 0.5000 0.0000 0.5000
H: 0.0276 0.4423 0.3814
H: 0.0276 0.5577 0.8814
H: 0.0544 0.3500 0.9207
H: 0.0544 0.6500 0.4207
H: 0.0582 0.4762 0.4766
H: 0.0582 0.5238 0.9766
H: 0.0718 0.1643 0.2244
H: 0.0718 0.8357 0.7244
H: 0.0980 0.1331 0.7196
H: 0.0980 0.8669 0.2196
H: 0.1200 0.1068 0.3305
H: 0.1200 0.8932 0.8305
H: 0.1838 0.1578 0.8239
H: 0.1838 0.8422 0.3239
H: 0.1974 0.4816 0.4274
H: 0.1974 0.5184 0.9274
H: 0.2079 0.1961 0.3130
H: 0.2079 0.8039 0.8130
H: 0.2131 0.3611 0.5127
H: 0.2131 0.6389 0.0127
H: 0.2244 0.0724 0.7717
H: 0.2244 0.9276 0.2717
H: 0.2323 0.3992 0.0190
H: 0.2323 0.6008 0.5190
H: 0.2740 0.4024 0.3025
H: 0.2740 0.5976 0.8025
H: 0.2832 0.3627 0.7864
H: 0.2832 0.6373 0.2864
H: 0.2897 0.1333 0.6178
H: 0.2897 0.8667 0.1178
H: 0.3001 0.4709 0.2311
H: 0.3001 0.5291 0.7311
H: 0.3019 0.2141 0.0985
H: 0.3019 0.7859 0.5985
H: 0.3037 0.0563 0.5469
H: 0.3037 0.9437 0.0469
H: 0.3537 0.1178 0.1992
H: 0.3537 0.8822 0.6992
H: 0.4080 0.1380 0.6402
H: 0.4080 0.8620 0.1402
H: 0.4392 0.1625 0.1716
H: 0.4392 0.8375 0.6716
H: 0.4429 0.4341 0.4145
H: 0.4429 0.5659 0.9145
H: 0.4594 0.3732 0.8802
H: 0.4594 0.6268 0.3802
H: 0.4682 0.4331 0.3448
H: 0.4682 0.5669 0.8448
H: 0.5318 0.4331 0.1552
H: 0.5318 0.5669 0.6552
H: 0.5406 0.3732 0.6198
H: 0.5406 0.6268 0.1198
H: 0.5571 0.4341 0.0855
H: 0.5571 0.5659 0.5855
H: 0.5608 0.1625 0.3284
H: 0.5608 0.8375 0.8284
H: 0.5920 0.1380 0.8598
H: 0.5920 0.8620 0.3598
H: 0.6463 0.1178 0.3008
H: 0.6463 0.8822 0.8008
H: 0.6963 0.0563 0.9531
H: 0.6963 0.9437 0.4531
H: 0.6981 0.2141 0.4015
H: 0.6981 0.7859 0.9015
H: 0.6999 0.4709 0.2689
H: 0.6999 0.5291 0.7689
H: 0.7103 0.1333 0.8822
H: 0.7103 0.8667 0.3822
H: 0.7168 0.3627 0.7136
H: 0.7168 0.6373 0.2136
H: 0.7260 0.4024 0.1975
H: 0.7260 0.5976 0.6975
H: 0.7677 0.3992 0.4810
H: 0.7677 0.6008 0.9810
H: 0.7756 0.0724 0.7283
H: 0.7756 0.9276 0.2283
H: 0.7869 0.3611 0.9873
H: 0.7869 0.6389 0.4873
H: 0.7921 0.1961 0.1870
H: 0.7921 0.8039 0.6870
H: 0.8026 0.4816 0.0726
H: 0.8026 0.5184 0.5726
H: 0.8162 0.1578 0.6761
H: 0.8162 0.8422 0.1761
H: 0.8800 0.1068 0.1695
H: 0.8800 0.8932 0.6695
H: 0.9020 0.1331 0.7804
H: 0.9020 0.8669 0.2804
H: 0.9282 0.1643 0.2756
H: 0.9282 0.8357 0.7756
H: 0.9418 0.4762 0.0234
H: 0.9418 0.5238 0.5234
H: 0.9456 0.3500 0.5793
H: 0.9456 0.6500 0.0793
H: 0.9724 0.4423 0.1186
H: 0.9724 0.5577 0.6186
C: 0.1382 0.1129 0.2862
C: 0.1382 0.8871 0.7862
C: 0.1880 0.4871 0.4768
C: 0.1880 0.5129 0.9768
C: 0.3127 0.4979 0.7900
C: 0.3127 0.5021 0.2900
C: 0.3606 0.1223 0.1481
C: 0.3606 0.8777 0.6481
C: 0.6394 0.1223 0.3519
C: 0.6394 0.8777 0.8519
C: 0.6873 0.4979 0.7100
C: 0.6873 0.5021 0.2100
C: 0.8120 0.4871 0.0232
C: 0.8120 0.5129 0.5232
C: 0.8618 0.1129 0.2138
C: 0.8618 0.8871 0.7138
N: 0.0751 0.4849 0.9367
N: 0.0751 0.5151 0.4367
N: 0.1624 0.0743 0.7743
N: 0.1624 0.9257 0.2743
N: 0.3393 0.0629 0.6109
N: 0.3393 0.9371 0.1109
N: 0.4275 0.4988 0.3619
N: 0.4275 0.5012 0.8619
N: 0.5725 0.4988 0.1381
N: 0.5725 0.5012 0.6381
N: 0.6607 0.0629 0.8891
N: 0.6607 0.9371 0.3891
N: 0.8376 0.0743 0.7257
N: 0.8376 0.9257 0.2257
N: 0.9249 0.4849 0.5633
N: 0.9249 0.5151 0.0633
Cl: 0.0000 0.3866 0.7500
Cl: 0.0000 0.6134 0.2500
Cl: 0.0876 0.0197 0.9365
Cl: 0.0876 0.9803 0.4365
Cl: 0.1067 0.2408 0.0938
Cl: 0.1067 0.7592 0.5938
Cl: 0.1304 0.2189 0.6015
Cl: 0.1304 0.7811 0.1015
Cl: 0.3734 0.2197 0.9739
Cl: 0.3734 0.7803 0.4739
Cl: 0.3890 0.2413 0.4843
Cl: 0.3890 0.7587 0.9843
Cl: 0.4127 0.0106 0.3492
Cl: 0.4127 0.9894 0.8492
Cl: 0.5000 0.3802 0.7500
Cl: 0.5000 0.6198 0.2500
Cl: 0.5873 0.0106 0.1508
Cl: 0.5873 0.9894 0.6508
Cl: 0.6110 0.2413 0.0157
Cl: 0.6110 0.7587 0.5157
Cl: 0.6266 0.2197 0.5261
Cl: 0.6266 0.7803 0.0261
Cl: 0.8696 0.2189 0.8985
Cl: 0.8696 0.7811 0.3985
Cl: 0.8933 0.2408 0.4062
Cl: 0.8933 0.7592 0.9062
Cl: 0.9124 0.0197 0.5635
Cl: 0.9124 0.9803 0.0635



This record from Materials Project describes a relaxed LaTa3Si3S3O24 crystal. The functional is PBE.

## Properties
- calculated formation energy (eV/f.u.) = -95.3

Cell: 9.0657 9.0786 23.2598 Å, 89.78 89.28 60.07°
Sites, in units of the cell vectors:
La: 0.0000 0.0000 0.0000
La: 0.0157 0.9865 0.5163
La: 0.3370 0.3350 0.3272
Ta: 0.0059 0.9871 0.7227
Ta: 0.0258 0.9828 0.2195
Ta: 0.3291 0.3319 0.0485
Ta: 0.3517 0.3252 0.5591
Ta: 0.3590 0.3060 0.8370
Ta: 0.6589 0.6702 0.6805
Ta: 0.6717 0.6598 0.8877
Ta: 0.6750 0.6534 0.3849
Ta: 0.6882 0.6486 0.1742
Si: 0.0191 0.6999 0.1143
Si: 0.0567 0.3494 0.9408
Si: 0.3041 0.7025 0.6173
Si: 0.3832 0.9424 0.7833
Si: 0.3943 0.6855 0.2788
Si: 0.6135 0.0384 0.9454
Si: 0.6846 0.3735 0.7831
Si: 0.7210 0.9885 0.6184
Si: 0.9430 0.3657 0.2784
S: 0.0112 0.2997 0.6184
S: 0.0430 0.6066 0.4481
S: 0.3100 0.9987 0.1169
S: 0.3661 0.5902 0.9439
S: 0.3696 0.0302 0.4476
S: 0.6223 0.3483 0.4486
S: 0.7071 0.9201 0.2780
S: 0.7096 0.2902 0.1166
S: 0.9628 0.6630 0.7817
O: 0.0107 0.7802 0.4537
O: 0.0442 0.8073 0.1695
O: 0.0519 0.1774 0.6659
O: 0.0529 0.1793 0.9483
O: 0.1262 0.3441 0.2798
O: 0.1282 0.5005 0.4998
O: 0.1368 0.5215 0.7889
O: 0.1465 0.5294 0.3963
O: 0.1490 0.3722 0.0016
O: 0.1689 0.8041 0.6699
O: 0.1735 0.3445 0.8865
O: 0.1741 0.3074 0.6049
O: 0.1888 0.0305 0.1676
O: 0.1915 0.5111 0.1034
O: 0.1975 0.9655 0.7668
O: 0.2033 0.8559 0.2696
O: 0.2219 0.7601 0.9482
O: 0.2282 0.9986 0.4543
O: 0.2511 0.9529 0.0661
O: 0.2537 0.8037 0.5586
O: 0.3148 0.1605 0.1089
O: 0.3192 0.5123 0.6015
O: 0.3493 0.1291 0.3957
O: 0.3515 0.5059 0.8929
O: 0.3621 0.1328 0.7904
O: 0.3812 0.5195 0.2809
O: 0.3834 0.1219 0.4997
O: 0.3835 0.4907 0.9984
O: 0.4819 0.8182 0.8371
O: 0.4844 0.7092 0.3384
O: 0.4844 0.8624 0.1313
O: 0.4964 0.1419 0.0033
O: 0.4973 0.6584 0.6340
O: 0.5035 0.6856 0.2240
O: 0.5091 0.8526 0.7276
O: 0.5122 0.3679 0.5006
O: 0.5141 0.3568 0.7929
O: 0.5165 0.1570 0.8885
O: 0.5258 0.1635 0.6035
O: 0.5278 0.5987 0.9408
O: 0.5341 0.8611 0.4408
O: 0.5420 0.3050 0.1085
O: 0.5503 0.3215 0.3969
O: 0.5585 0.0886 0.2816
O: 0.6203 0.8569 0.9342
O: 0.6220 0.5177 0.4419
O: 0.6670 0.4935 0.7283
O: 0.6749 0.4708 0.1297
O: 0.6901 0.8361 0.2268
O: 0.6937 0.8313 0.6363
O: 0.7133 0.4681 0.8382
O: 0.7269 0.8201 0.3318
O: 0.7945 0.0231 0.9456
O: 0.7973 0.2172 0.4568
O: 0.7986 0.1783 0.1663
O: 0.8145 0.9564 0.5580
O: 0.8157 0.2390 0.0651
O: 0.8197 0.0272 0.6704
O: 0.8272 0.4695 0.3375
O: 0.8422 0.4892 0.2244
O: 0.8486 0.1846 0.7667
O: 0.8518 0.6986 0.8331
O: 0.8605 0.6673 0.1327
O: 0.8635 0.9354 0.2716
O: 0.8702 0.5205 0.9324
O: 0.8724 0.6156 0.4397
O: 0.8794 0.4735 0.6338
O: 0.8865 0.6351 0.7304
O: 0.9474 0.1870 0.2653
O: 0.9660 0.2477 0.5653
O: 0.9741 0.8128 0.0588
O: 0.9755 0.8233 0.7728



This record from Materials Project describes a relaxed Ba2NaSn6As6 crystal. The functional is PBE.

## Properties
- calculated formation energy (eV/f.u.) = -6.9

Cell: 7.3132 7.3132 9.8187 Å, 97.18 97.18 119.93°
Sites, in units of the cell vectors:
Ba: 0.1666 0.8334 0.0000
Ba: 0.8334 0.1666 0.0000
Na: 0.5000 0.5000 0.0000
Sn: 0.0405 0.3752 0.6257
Sn: 0.2901 0.2901 0.3737
Sn: 0.3752 0.0405 0.6257
Sn: 0.6248 0.9595 0.3743
Sn: 0.7099 0.7099 0.6263
Sn: 0.9595 0.6248 0.3743
As: 0.0946 0.0946 0.7694
As: 0.2484 0.5767 0.2302
As: 0.4233 0.7516 0.7698
As: 0.5767 0.2484 0.2302
As: 0.7516 0.4233 0.7698
As: 0.9054 0.9054 0.2306



This record from Materials Project describes a relaxed SiO2 crystal. The functional is PBE.

## Properties
- calculated formation energy (eV/f.u.) = -9.7

Cell: 16.8162 16.8162 16.8162 Å, 137.36 137.36 61.88°
Sites, in units of the cell vectors:
Si: 0.0093 0.5765 0.1852
Si: 0.0093 0.8241 0.4328
Si: 0.0551 0.2343 0.1792
Si: 0.0551 0.8759 0.8208
Si: 0.1241 0.9449 0.1792
Si: 0.1283 0.4993 0.3710
Si: 0.1283 0.7573 0.6290
Si: 0.1759 0.6087 0.1852
Si: 0.1759 0.9907 0.5672
Si: 0.2343 0.0551 0.1792
Si: 0.2427 0.8717 0.3710
Si: 0.3913 0.5765 0.5672
Si: 0.3913 0.8241 0.8148
Si: 0.4235 0.6087 0.4328
Si: 0.4235 0.9907 0.8148
Si: 0.4993 0.1283 0.3710
Si: 0.5007 0.8717 0.6290
Si: 0.5765 0.0093 0.1852
Si: 0.5765 0.3913 0.5672
Si: 0.6087 0.1759 0.1852
Si: 0.6087 0.4235 0.4328
Si: 0.7573 0.1283 0.6290
Si: 0.7657 0.9449 0.8208
Si: 0.8241 0.0093 0.4328
Si: 0.8241 0.3913 0.8148
Si: 0.8717 0.2427 0.3710
Si: 0.8717 0.5007 0.6290
Si: 0.8759 0.0551 0.8208
Si: 0.9449 0.1241 0.1792
Si: 0.9449 0.7657 0.8208
Si: 0.9907 0.1759 0.5672
Si: 0.9907 0.4235 0.8148
O: 0.0000 0.2050 0.2050
O: 0.0000 0.7950 0.7950
O: 0.0404 0.0404 0.2182
O: 0.0404 0.8222 0.0000
O: 0.0434 0.3084 0.7350
O: 0.0502 0.5009 0.2337
O: 0.0502 0.8166 0.5493
O: 0.0824 0.3776 0.2951
O: 0.0824 0.7873 0.7049
O: 0.0936 0.0936 0.5894
O: 0.0936 0.5042 0.0000
O: 0.1134 0.6134 0.5000
O: 0.1221 0.6221 0.2442
O: 0.1221 0.8779 0.5000
O: 0.1778 0.1778 0.2182
O: 0.1778 0.9596 0.0000
O: 0.1834 0.7328 0.2337
O: 0.1834 0.9498 0.4507
O: 0.2050 0.0000 0.2050
O: 0.2127 0.9176 0.2951
O: 0.2672 0.5009 0.4507
O: 0.2672 0.8166 0.7663
O: 0.3084 0.0434 0.7350
O: 0.3084 0.5734 0.2650
O: 0.3776 0.0824 0.2951
O: 0.3779 0.6221 0.5000
O: 0.3779 0.8779 0.7558
O: 0.3866 0.8866 0.5000
O: 0.4266 0.6916 0.7350
O: 0.4958 0.4958 0.5894
O: 0.4958 0.9064 0.0000
O: 0.4991 0.7328 0.5493
O: 0.4991 0.9498 0.7663
O: 0.5009 0.0502 0.2337
O: 0.5009 0.2672 0.4507
O: 0.5042 0.0936 0.0000
O: 0.5042 0.5042 0.4106
O: 0.5734 0.3084 0.2650
O: 0.6134 0.1134 0.5000
O: 0.6221 0.1221 0.2442
O: 0.6221 0.3779 0.5000
O: 0.6224 0.9176 0.7049
O: 0.6916 0.4266 0.7350
O: 0.6916 0.9566 0.2650
O: 0.7328 0.1834 0.2337
O: 0.7328 0.4991 0.5493
O: 0.7873 0.0824 0.7049
O: 0.7950 0.0000 0.7950
O: 0.8166 0.0502 0.5493
O: 0.8166 0.2672 0.7663
O: 0.8222 0.0404 0.0000
O: 0.8222 0.8222 0.7818
O: 0.8779 0.1221 0.5000
O: 0.8779 0.3779 0.7558
O: 0.8866 0.3866 0.5000
O: 0.9064 0.4958 0.0000
O: 0.9064 0.9064 0.4106
O: 0.9176 0.2127 0.2951
O: 0.9176 0.6224 0.7049
O: 0.9498 0.1834 0.4507
O: 0.9498 0.4991 0.7663
O: 0.9566 0.6916 0.2650
O: 0.9596 0.1778 0.0000
O: 0.9596 0.9596 0.7818



This record from Materials Project describes a relaxed Th2Br5 crystal. The functional is PBE.

## Properties
- calculated formation energy (eV/f.u.) = -13.1

Cell: 9.9963 9.9963 9.9963 Å, 109.47 109.47 109.47°
Sites, in units of the cell vectors:
Th: 0.0000 0.2357 0.2357
Th: 0.0000 0.7643 0.7643
Th: 0.2357 0.0000 0.2357
Th: 0.2357 0.2357 0.0000
Th: 0.7643 0.0000 0.7643
Th: 0.7643 0.7643 0.0000
Br: 0.0000 0.2530 0.7470
Br: 0.0000 0.5000 0.5000
Br: 0.0000 0.7470 0.2530
Br: 0.2530 0.0000 0.7470
Br: 0.2530 0.2530 0.5061
Br: 0.2530 0.5061 0.2530
Br: 0.2530 0.7470 0.0000
Br: 0.4939 0.7470 0.7470
Br: 0.5000 0.0000 0.5000
Br: 0.5000 0.5000 0.0000
Br: 0.5061 0.2530 0.2530
Br: 0.7470 0.0000 0.2530
Br: 0.7470 0.2530 0.0000
Br: 0.7470 0.4939 0.7470
Br: 0.7470 0.7470 0.4939